# 1
! DyGaPd2 (r2SCAN, relaxed); values from VASP
&SYSTEM
  ibrav = 0, nat = 16, ntyp = 3
/
ATOMIC_SPECIES
Dy 162.50 Dy.upf
Ga 69.72 Ga.upf
Pd 106.42 Pd.upf
CELL_PARAMETERS angstrom
7.321 0.000 0.000
0.000 7.090 0.000
0.000 0.000 5.579
ATOMIC_POSITIONS crystal
Dy 0.030 0.250 0.145
Dy 0.470 0.750 0.645
Dy 0.530 0.250 0.355
Dy 0.970 0.750 0.855
Ga 0.116 0.750 0.357
Ga 0.384 0.250 0.857
Ga 0.616 0.750 0.143
Ga 0.884 0.250 0.643
Pd 0.183 0.052 0.588
Pd 0.183 0.448 0.588
Pd 0.317 0.552 0.088
Pd 0.317 0.948 0.088
Pd 0.683 0.052 0.912
Pd 0.683 0.448 0.912
Pd 0.817 0.552 0.412
Pd 0.817 0.948 0.412
! * calculated formation energy: -0.94 eV/atom
! * E_tot: -23.27 eV/atom
! * SG: No. 62

# 2
! Sr3Sn4Ir4 (r2SCAN, relaxed); values from VASP
&SYSTEM
  ibrav = 0, nat = 11, ntyp = 3
/
ATOMIC_SPECIES
Sr 87.62 Sr.upf
Sn 118.71 Sn.upf
Ir 192.22 Ir.upf
CELL_PARAMETERS angstrom
-4.063 4.063 4.063
4.063 -4.063 4.063
4.063 4.063 -4.063
ATOMIC_POSITIONS crystal
Sr 0.000 0.500 0.500
Sr 0.500 0.000 0.500
Sr 0.500 0.500 0.000
Sn 0.000 0.000 0.385
Sn 0.000 0.385 0.000
Sn 0.385 0.000 0.000
Sn 0.615 0.615 0.615
Ir 0.000 0.000 0.750
Ir 0.000 0.750 0.000
Ir 0.250 0.250 0.250
Ir 0.750 0.000 0.000
! * calculated formation energy: -0.59 eV/atom
! * E_tot: -32.76 eV/atom
! * SG: No. 217

# 3
! Gd2C3 (r2SCAN, relaxed); values from VASP
&SYSTEM
  ibrav = 0, nat = 20, ntyp = 2
/
ATOMIC_SPECIES
Gd 157.25 Gd.upf
C 12.01 C.upf
CELL_PARAMETERS angstrom
-4.169 4.169 4.169
4.169 -4.169 4.169
4.169 4.169 -4.169
ATOMIC_POSITIONS crystal
Gd 0.000 0.101 0.500
Gd 0.000 0.601 0.500
Gd 0.101 0.500 0.000
Gd 0.399 0.399 0.399
Gd 0.500 0.000 0.101
Gd 0.500 0.000 0.601
Gd 0.601 0.500 0.000
Gd 0.899 0.899 0.899
C 0.045 0.795 0.250
C 0.205 0.955 0.250
C 0.250 0.045 0.795
C 0.250 0.205 0.955
C 0.295 0.545 0.750
C 0.455 0.705 0.750
C 0.545 0.750 0.295
C 0.705 0.750 0.455
C 0.750 0.295 0.545
C 0.750 0.455 0.705
C 0.795 0.250 0.045
C 0.955 0.250 0.205
! * calculated formation energy: -0.33 eV/atom
! * E_tot: -23.65 eV/atom
! * SG: No. 220

# 4
! BaCa (r2SCAN, relaxed); values from VASP
&SYSTEM
  ibrav = 0, nat = 2, ntyp = 2
/
ATOMIC_SPECIES
Ba 137.33 Ba.upf
Ca 40.08 Ca.upf
CELL_PARAMETERS angstrom
3.089 -3.097 0.000
3.089 3.097 0.000
0.000 0.000 5.737
ATOMIC_POSITIONS crystal
Ba 0.000 0.000 0.000
Ca 0.500 0.500 0.500
! * calculated formation energy: 0.08 eV/atom
! * E_tot: -16.69 eV/atom
! * SG: No. 65

# 5
! Ce2Br5 (r2SCAN, relaxed); values from VASP
&SYSTEM
  ibrav = 0, nat = 14, ntyp = 2
/
ATOMIC_SPECIES
Ce 140.12 Ce.upf
Br 79.90 Br.upf
CELL_PARAMETERS angstrom
7.913 0.000 0.000
0.000 4.240 0.000
-0.226 0.000 13.671
ATOMIC_POSITIONS crystal
Ce 0.064 0.250 0.340
Ce 0.430 0.750 0.157
Ce 0.570 0.250 0.843
Ce 0.936 0.750 0.660
Br 0.049 0.750 0.177
Br 0.155 0.250 0.566
Br 0.308 0.250 0.013
Br 0.330 0.750 0.772
Br 0.345 0.750 0.372
Br 0.655 0.250 0.628
Br 0.670 0.250 0.228
Br 0.692 0.750 0.987
Br 0.845 0.750 0.434
Br 0.951 0.250 0.823
! * calculated formation energy: -2.14 eV/atom
! * E_tot: -20.42 eV/atom
! * SG: No. 11

# 6
! ScTl3F6 (r2SCAN, relaxed); values from VASP
&SYSTEM
  ibrav = 0, nat = 20, ntyp = 3
/
ATOMIC_SPECIES
Sc 44.96 Sc.upf
Tl 204.38 Tl.upf
F 19.00 F.upf
CELL_PARAMETERS angstrom
6.343 0.000 0.000
0.000 6.343 0.000
0.000 0.000 9.395
ATOMIC_POSITIONS crystal
Sc 0.000 0.000 0.000
Sc 0.500 0.500 0.500
Tl 0.000 0.000 0.500
Tl 0.000 0.500 0.250
Tl 0.000 0.500 0.750
Tl 0.500 0.000 0.250
Tl 0.500 0.000 0.750
Tl 0.500 0.500 0.000
F 0.000 0.000 0.216
F 0.000 0.000 0.784
F 0.130 0.291 0.000
F 0.209 0.370 0.500
F 0.291 0.870 0.000
F 0.370 0.791 0.500
F 0.500 0.500 0.284
F 0.500 0.500 0.716
F 0.630 0.209 0.500
F 0.709 0.130 0.000
F 0.791 0.630 0.500
F 0.870 0.709 0.000
! * calculated formation energy: -2.83 eV/atom
! * E_tot: -21.80 eV/atom
! * SG: No. 128